Entry 1:
This record from the Materials Project database describes crystalline Y2SiO5 at its relaxed geometry. The functional is PBE.

a b c (Å): 8.044 8.044 10.557
angles (deg): 61.22 61.22 50.28
Fractional coordinates of all 32 atoms:
Y (0.781, 0.293, 0.032)
Y (0.707, 0.219, 0.468)
Y (0.219, 0.707, 0.968)
Y (0.293, 0.781, 0.532)
Y (0.239, 0.475, 0.337)
Y (0.525, 0.761, 0.163)
Y (0.761, 0.525, 0.663)
Y (0.475, 0.239, 0.837)
Si (0.728, 0.908, 0.306)
Si (0.092, 0.272, 0.194)
Si (0.272, 0.092, 0.694)
Si (0.908, 0.728, 0.806)
O (0.423, 0.610, 0.104)
O (0.390, 0.577, 0.396)
O (0.577, 0.390, 0.896)
O (0.610, 0.423, 0.604)
O (0.872, 0.726, 0.432)
O (0.274, 0.128, 0.068)
O (0.128, 0.274, 0.568)
O (0.726, 0.872, 0.932)
O (0.555, 0.851, 0.324)
O (0.149, 0.445, 0.176)
O (0.445, 0.149, 0.676)
O (0.851, 0.555, 0.824)
O (0.163, 0.596, 0.824)
O (0.404, 0.837, 0.676)
O (0.837, 0.404, 0.176)
O (0.596, 0.163, 0.324)
O (0.918, 0.900, 0.638)
O (0.100, 0.082, 0.862)
O (0.082, 0.100, 0.362)
O (0.900, 0.918, 0.138)

Output
- Energy relative to the elements: -3.792 eV/atom


Entry 2:
This record from the Materials Project database describes crystalline Y2SiO5 at its relaxed geometry. The functional is PBE.

a b c (Å): 6.776 6.887 10.359
angles (deg): 90.00 119.32 90.00
Fractional coordinates of all 32 atoms:
Y (0.356, 0.222, 0.510)
Y (0.144, 0.722, 0.490)
Y (0.644, 0.778, 0.490)
Y (0.856, 0.278, 0.510)
Y (0.241, 0.546, 0.833)
Y (0.259, 0.046, 0.167)
Y (0.759, 0.454, 0.167)
Y (0.741, 0.954, 0.833)
Si (0.683, 0.479, 0.784)
Si (0.817, 0.979, 0.216)
Si (0.317, 0.521, 0.216)
Si (0.183, 0.021, 0.784)
O (0.469, 0.915, 0.602)
O (0.031, 0.415, 0.398)
O (0.531, 0.085, 0.398)
O (0.969, 0.585, 0.602)
O (0.126, 0.030, 0.921)
O (0.374, 0.530, 0.079)
O (0.874, 0.970, 0.079)
O (0.626, 0.470, 0.921)
O (0.240, 0.233, 0.733)
O (0.260, 0.733, 0.267)
O (0.760, 0.767, 0.267)
O (0.740, 0.267, 0.733)
O (0.445, 0.530, 0.629)
O (0.055, 0.030, 0.371)
O (0.555, 0.470, 0.371)
O (0.945, 0.970, 0.629)
O (0.628, 0.150, 0.177)
O (0.872, 0.650, 0.823)
O (0.372, 0.850, 0.823)
O (0.128, 0.350, 0.177)

Output
- Energy relative to the elements: -3.680 eV/atom
- Size of the total moment: 0.0000 μB/atom


Entry 3:
This record from the Materials Project database describes crystalline Y5Si3O12 at its relaxed geometry. The functional is PBE.

a b c (Å): 6.490 10.234 15.684
angles (deg): 90.00 90.00 90.00
Fractional coordinates of all 80 atoms:
Y (0.977, 0.100, 0.750)
Y (0.023, 0.900, 0.250)
Y (0.523, 0.600, 0.250)
Y (0.477, 0.400, 0.750)
Y (0.187, 0.176, 0.130)
Y (0.813, 0.824, 0.870)
Y (0.313, 0.676, 0.870)
Y (0.813, 0.824, 0.630)
Y (0.687, 0.324, 0.130)
Y (0.187, 0.176, 0.370)
Y (0.687, 0.324, 0.370)
Y (0.313, 0.676, 0.630)
Y (0.391, 0.080, 0.598)
Y (0.609, 0.920, 0.402)
Y (0.109, 0.580, 0.402)
Y (0.609, 0.920, 0.098)
Y (0.891, 0.420, 0.598)
Y (0.391, 0.080, 0.902)
Y (0.891, 0.420, 0.902)
Y (0.109, 0.580, 0.098)
Si (0.935, 0.617, 0.750)
Si (0.065, 0.383, 0.250)
Si (0.565, 0.117, 0.250)
Si (0.435, 0.883, 0.750)
Si (0.364, 0.378, 0.563)
Si (0.636, 0.622, 0.437)
Si (0.136, 0.878, 0.437)
Si (0.636, 0.622, 0.063)
Si (0.864, 0.122, 0.563)
Si (0.364, 0.378, 0.937)
Si (0.864, 0.122, 0.937)
Si (0.136, 0.878, 0.063)
O (0.040, 0.379, 0.137)
O (0.960, 0.621, 0.863)
O (0.460, 0.879, 0.863)
O (0.960, 0.621, 0.637)
O (0.540, 0.121, 0.137)
O (0.040, 0.379, 0.363)
O (0.540, 0.121, 0.363)
O (0.460, 0.879, 0.637)
O (0.229, 0.551, 0.750)
O (0.771, 0.449, 0.250)
O (0.271, 0.051, 0.250)
O (0.729, 0.949, 0.750)
O (0.333, 0.046, 0.750)
O (0.667, 0.954, 0.250)
O (0.167, 0.546, 0.250)
O (0.833, 0.454, 0.750)
O (0.197, 0.487, 0.531)
O (0.803, 0.513, 0.469)
O (0.303, 0.987, 0.469)
O (0.803, 0.513, 0.031)
O (0.697, 0.013, 0.531)
O (0.197, 0.487, 0.969)
O (0.697, 0.013, 0.969)
O (0.303, 0.987, 0.031)
O (0.260, 0.291, 0.643)
O (0.740, 0.709, 0.357)
O (0.240, 0.791, 0.357)
O (0.740, 0.709, 0.143)
O (0.760, 0.209, 0.643)
O (0.260, 0.291, 0.857)
O (0.760, 0.209, 0.857)
O (0.240, 0.791, 0.143)
O (0.445, 0.274, 0.008)
O (0.555, 0.726, 0.992)
O (0.055, 0.774, 0.992)
O (0.555, 0.726, 0.508)
O (0.945, 0.226, 0.008)
O (0.445, 0.274, 0.492)
O (0.945, 0.226, 0.492)
O (0.055, 0.774, 0.508)
O (0.040, 0.032, 0.613)
O (0.960, 0.968, 0.387)
O (0.460, 0.532, 0.387)
O (0.960, 0.968, 0.113)
O (0.540, 0.468, 0.613)
O (0.040, 0.032, 0.887)
O (0.540, 0.468, 0.887)
O (0.460, 0.532, 0.113)

Output
- Energy relative to the elements: -3.459 eV/atom
- Size of the total moment: 0.0009 μB/atom


Entry 4:
This record from the Materials Project database describes crystalline Zn2SiO4 at its relaxed geometry. The functional is PBE.

a b c (Å): 8.090 5.551 9.048
angles (deg): 58.70 90.00 90.00
Fractional coordinates of all 28 atoms:
Zn (0.881, 0.243, 0.902)
Zn (0.619, 0.243, 0.402)
Zn (0.119, 0.757, 0.098)
Zn (0.381, 0.757, 0.598)
Zn (0.492, 0.859, 0.191)
Zn (0.008, 0.859, 0.691)
Zn (0.508, 0.141, 0.809)
Zn (0.992, 0.141, 0.309)
Si (0.238, 0.365, 0.960)
Si (0.262, 0.365, 0.460)
Si (0.762, 0.635, 0.040)
Si (0.738, 0.635, 0.540)
O (0.427, 0.234, 0.995)
O (0.073, 0.234, 0.495)
O (0.573, 0.766, 0.005)
O (0.927, 0.766, 0.505)
O (0.235, 0.693, 0.791)
O (0.265, 0.693, 0.291)
O (0.765, 0.307, 0.209)
O (0.735, 0.307, 0.709)
O (0.125, 0.164, 0.915)
O (0.375, 0.164, 0.415)
O (0.875, 0.836, 0.085)
O (0.625, 0.836, 0.585)
O (0.147, 0.380, 0.119)
O (0.353, 0.380, 0.619)
O (0.853, 0.620, 0.881)
O (0.647, 0.620, 0.381)

Output
- Energy relative to the elements: -2.336 eV/atom
- Size of the total moment: 0.0001 μB/atom


Entry 5:
This record from the Materials Project database describes crystalline ZnSiO3 at its relaxed geometry. The functional is PBE.

a b c (Å): 5.432 5.432 5.432
angles (deg): 52.52 52.52 52.52
Fractional coordinates of all 10 atoms:
Zn (0.369, 0.369, 0.369)
Zn (0.631, 0.631, 0.631)
Si (0.161, 0.161, 0.161)
Si (0.839, 0.839, 0.839)
O (0.437, 0.802, 0.046)
O (0.802, 0.046, 0.437)
O (0.046, 0.437, 0.802)
O (0.563, 0.198, 0.954)
O (0.198, 0.954, 0.563)
O (0.954, 0.563, 0.198)

Output
- Energy relative to the elements: -2.545 eV/atom
- Size of the total moment: 0.0001 μB/atom


Entry 6:
This record from the Materials Project database describes crystalline Zn2SiO4 at its relaxed geometry. The functional is PBE.

a b c (Å): 4.997 5.110 10.432
angles (deg): 90.00 90.00 90.00
Fractional coordinates of all 28 atoms:
Zn (0.496, 0.055, 0.163)
Zn (0.996, 0.445, 0.837)
Zn (0.504, 0.555, 0.337)
Zn (0.004, 0.945, 0.663)
Zn (0.504, 0.945, 0.837)
Zn (0.004, 0.555, 0.163)
Zn (0.496, 0.445, 0.663)
Zn (0.996, 0.055, 0.337)
Si (0.500, 0.000, 0.500)
Si (0.000, 0.500, 0.500)
Si (0.500, 0.500, 0.000)
Si (0.000, 0.000, 0.000)
O (0.701, 0.288, 0.451)
O (0.201, 0.212, 0.549)
O (0.299, 0.788, 0.049)
O (0.799, 0.712, 0.951)
O (0.299, 0.712, 0.549)
O (0.799, 0.788, 0.451)
O (0.701, 0.212, 0.951)
O (0.201, 0.288, 0.049)
O (0.385, 0.955, 0.342)
O (0.885, 0.545, 0.658)
O (0.615, 0.455, 0.158)
O (0.115, 0.045, 0.842)
O (0.615, 0.045, 0.658)
O (0.115, 0.455, 0.342)
O (0.385, 0.545, 0.842)
O (0.885, 0.955, 0.158)

Output
- Energy relative to the elements: -2.235 eV/atom
- Size of the total moment: 0.0000 μB/atom


Entry 7:
This record from the Materials Project database describes crystalline Zn2SiO4 at its relaxed geometry. The functional is PBE.

a b c (Å): 7.777 7.777 7.777
angles (deg): 136.07 113.56 83.11
Fractional coordinates of all 28 atoms:
Zn (0.500, 0.500, 0.000)
Zn (0.000, 0.000, 0.000)
Zn (0.782, 0.750, 0.032)
Zn (0.218, 0.250, 0.968)
Zn (0.375, 0.375, 0.500)
Zn (0.625, 0.125, 0.000)
Zn (0.375, 0.875, 0.000)
Zn (0.625, 0.625, 0.500)
Si (0.004, 0.621, 0.383)
Si (0.996, 0.379, 0.617)
Si (0.738, 0.121, 0.617)
Si (0.262, 0.879, 0.383)
O (0.538, 0.750, 0.788)
O (0.462, 0.250, 0.212)
O (0.036, 0.750, 0.286)
O (0.964, 0.250, 0.714)
O (0.244, 0.987, 0.257)
O (0.756, 0.013, 0.743)
O (0.230, 0.487, 0.743)
O (0.770, 0.513, 0.257)
O (0.632, 0.359, 0.744)
O (0.368, 0.113, 0.727)
O (0.114, 0.859, 0.727)
O (0.886, 0.613, 0.744)
O (0.368, 0.641, 0.256)
O (0.632, 0.887, 0.273)
O (0.886, 0.141, 0.273)
O (0.114, 0.387, 0.256)

Output
- Energy relative to the elements: -2.325 eV/atom
- Size of the total moment: 0.0000 μB/atom


Entry 8:
This record from the Materials Project database describes crystalline Zn2SiO4 at its relaxed geometry. The functional is PBE.

a b c (Å): 5.836 5.836 5.836
angles (deg): 60.00 60.00 60.00
Fractional coordinates of all 14 atoms:
Zn (0.625, 0.625, 0.125)
Zn (0.625, 0.125, 0.625)
Zn (0.625, 0.625, 0.625)
Zn (0.125, 0.625, 0.625)
Si (0.000, 0.000, 0.000)
Si (0.250, 0.250, 0.250)
O (0.898, 0.367, 0.367)
O (0.367, 0.898, 0.367)
O (0.883, 0.883, 0.352)
O (0.367, 0.367, 0.367)
O (0.352, 0.883, 0.883)
O (0.367, 0.367, 0.898)
O (0.883, 0.352, 0.883)
O (0.883, 0.883, 0.883)

Output
- Energy relative to the elements: -2.303 eV/atom
- Size of the total moment: 0.0000 μB/atom